[1]
Here is YCu3S3 after structural relaxation from the Materials Project. Energies are from meta-GGA r2SCAN.

a = 6.6505 Å, b = 6.6528 Å, c = 7.4363 Å
α = 63.47°, β = 89.97°, γ = 59.97°
Fractional positions:
1 Y 0.0003 0.9996 0.0006
2 Y 0.3331 0.3338 0.9994
3 Cu 0.4503 0.4207 0.3709
4 Cu 0.7896 0.7597 0.3709
5 Cu 0.1293 0.0810 0.3711
6 Cu 0.2041 0.2523 0.6289
7 Cu 0.5437 0.5737 0.6291
8 Cu 0.8830 0.9126 0.6291
9 S 0.2493 0.8357 0.7472
10 S 0.9150 0.5015 0.7471
11 S 0.5835 0.1672 0.7472
12 S 0.7498 0.1662 0.2528
13 S 0.4183 0.8318 0.2529
14 S 0.0840 0.4977 0.2528

formation energy from the elements	-1.005	eV per atom
spin magnetization	0.00	μB/f.u.

[2]
Here is YbCu2S2 after structural relaxation from the Materials Project. Energies are from meta-GGA r2SCAN.

a = 3.9123 Å, b = 3.9123 Å, c = 6.1863 Å
α = 90.00°, β = 90.00°, γ = 120.00°
Fractional positions:
1 Yb 0.0000 0.0000 0.0000
2 Cu 0.6667 0.3333 0.6725
3 Cu 0.3333 0.6667 0.3275
4 S 0.6667 0.3333 0.2632
5 S 0.3333 0.6667 0.7368

formation energy from the elements	-0.894	eV per atom
spin magnetization	0.00	μB/f.u.

[3]
Here is Zr2CuS4 after structural relaxation from the Materials Project. Energies are from meta-GGA r2SCAN.

a = 7.3547 Å, b = 7.3547 Å, c = 7.3547 Å
α = 60.00°, β = 60.00°, γ = 60.00°
Fractional positions:
1 Zr 0.5000 0.5000 0.0000
2 Zr 0.5000 0.5000 0.5000
3 Zr 0.0000 0.5000 0.5000
4 Zr 0.5000 0.0000 0.5000
5 Cu 0.8750 0.8750 0.8750
6 Cu 0.1250 0.1250 0.1250
7 S 0.7486 0.7486 0.7486
8 S 0.2514 0.2514 0.7457
9 S 0.2514 0.7457 0.2514
10 S 0.7457 0.2514 0.2514
11 S 0.7486 0.2543 0.7486
12 S 0.2543 0.7486 0.7486
13 S 0.2514 0.2514 0.2514
14 S 0.7486 0.7486 0.2543

formation energy from the elements	-1.533	eV per atom
spin magnetization	0.00	μB/f.u.

[4]
Here is CuSbSe2 after structural relaxation from the Materials Project. Energies are from meta-GGA r2SCAN.

a = 3.9930 Å, b = 6.3886 Å, c = 15.0393 Å
α = 90.00°, β = 90.00°, γ = 90.00°
Fractional positions:
1 Cu 0.7500 0.7463 0.1711
2 Cu 0.2500 0.2537 0.8289
3 Cu 0.7500 0.2463 0.3289
4 Cu 0.2500 0.7537 0.6711
5 Sb 0.7500 0.7715 0.9380
6 Sb 0.2500 0.7285 0.4380
7 Sb 0.7500 0.2715 0.5620
8 Sb 0.2500 0.2285 0.0620
9 Se 0.2500 0.3790 0.6771
10 Se 0.7500 0.3741 0.9022
11 Se 0.7500 0.6210 0.3229
12 Se 0.2500 0.8790 0.8229
13 Se 0.7500 0.8741 0.5978
14 Se 0.2500 0.6259 0.0978
15 Se 0.2500 0.1259 0.4022
16 Se 0.7500 0.1210 0.1771

formation energy from the elements	-0.249	eV per atom
spin magnetization	0.00	μB/f.u.